The following is a PBE calculation of an optimized crystal structure of MgCuBiO5, from Materials Project.

Unit cell a=5.1469 b=10.0693 c=15.6609 alpha=90.00 beta=90.00 gamma=90.00
Element x y z (fractional)
1 O 0.8242 0.9865 0.3155
2 O 0.2570 0.2507 0.5175
3 O 0.7423 0.2003 0.6780
4 O 0.2518 0.5013 0.0052
5 O 0.3242 0.5135 0.3155
6 O 0.2577 0.2997 0.1780
7 O 0.3795 0.6930 0.1592
8 O 0.7577 0.2003 0.1780
9 O 0.8242 0.4865 0.1845
10 O 0.3795 0.1930 0.3408
11 O 0.2570 0.7507 0.9825
12 O 0.1205 0.1930 0.8408
13 O 0.7570 0.2493 0.5175
14 O 0.2482 0.0013 0.9948
15 O 0.2430 0.7507 0.4825
16 O 0.6758 0.9865 0.8155
17 O 0.7430 0.2493 0.0175
18 O 0.6205 0.3070 0.8408
19 O 0.2482 0.5013 0.5052
20 O 0.1758 0.5135 0.8155
21 O 0.2577 0.7997 0.3220
22 O 0.7430 0.7493 0.4825
23 O 0.7518 0.4987 0.4948
24 O 0.1205 0.6930 0.6592
25 O 0.3242 0.0135 0.1845
26 O 0.7570 0.7493 0.9825
27 O 0.7482 0.4987 0.9948
28 O 0.6758 0.4865 0.6845
29 O 0.7577 0.7003 0.3220
30 O 0.2430 0.2507 0.0175
31 O 0.8795 0.8070 0.1592
32 O 0.2423 0.7997 0.8220
33 O 0.1758 0.0135 0.6845
34 O 0.7482 0.9987 0.5052
35 O 0.2423 0.2997 0.6780
36 O 0.2518 0.0013 0.4948
37 O 0.7518 0.9987 0.0052
38 O 0.7423 0.7003 0.8220
39 O 0.6205 0.8070 0.6592
40 O 0.8795 0.3070 0.3408
41 Mg 0.4930 0.6186 0.4166
42 Mg 0.9930 0.8814 0.4166
43 Mg 0.0070 0.6186 0.9166
44 Mg 0.9930 0.3814 0.0834
45 Mg 0.5070 0.3814 0.5834
46 Mg 0.4930 0.1186 0.0834
47 Mg 0.0070 0.1186 0.5834
48 Mg 0.5070 0.8814 0.9166
49 Cu 0.9956 0.6327 0.5200
50 Cu 0.4956 0.8673 0.5200
51 Cu 0.5044 0.6327 0.0200
52 Cu 0.4956 0.3673 0.9800
53 Cu 0.9956 0.1327 0.9800
54 Cu 0.0044 0.3673 0.4800
55 Cu 0.0044 0.8673 0.0200
56 Cu 0.5044 0.1327 0.4800
57 Bi 0.4404 0.1453 0.7627
58 Bi 0.9404 0.8547 0.7373
59 Bi 0.5596 0.8547 0.2373
60 Bi 0.5596 0.3547 0.2627
61 Bi 0.4404 0.6453 0.7373
62 Bi 0.0596 0.6453 0.2373
63 Bi 0.9404 0.3547 0.7627
64 Bi 0.0596 0.1453 0.2627

Properties
- space group = No. 61
- polymorph energy (0 for the lowest one) (meV/atom) = 9.4

---

The following is a PBE calculation of an optimized crystal structure of KSn2F5, from Materials Project.

Unit cell a=7.4926 b=7.4926 c=56.5609 alpha=90.00 beta=90.00 gamma=120.00
Element x y z (fractional)
1 Sn 0.3296 0.9977 0.7222
2 Sn 0.6663 0.6694 0.8887
3 Sn 0.6701 0.0018 0.9440
4 Sn 0.3169 0.3244 0.2766
5 Sn 0.3306 0.9969 0.8887
6 Sn 0.0112 0.6865 0.1108
7 Sn 0.3488 0.9970 0.2231
8 Sn 0.0023 0.3319 0.7222
9 Sn 0.6671 0.6690 0.5563
10 Sn 0.6481 0.6512 0.2231
11 Sn 0.9982 0.6683 0.9440
12 Sn 0.6696 0.0030 0.6113
13 Sn 0.0020 0.3329 0.5563
14 Sn 0.6705 0.0024 0.7778
15 Sn 0.0031 0.3337 0.8887
16 Sn 0.0084 0.3542 0.0550
17 Sn 0.3458 0.9916 0.0550
18 Sn 0.0074 0.6831 0.2766
19 Sn 0.3310 0.9980 0.5563
20 Sn 0.0030 0.3519 0.2231
21 Sn 0.6681 0.6704 0.7222
22 Sn 0.6749 0.9891 0.4449
23 Sn 0.9976 0.6681 0.7778
24 Sn 0.6458 0.6542 0.0550
25 Sn 0.9970 0.6666 0.6113
26 Sn 0.3135 0.3247 0.1108
27 Sn 0.6753 0.9888 0.1108
28 Sn 0.3319 0.3295 0.7778
29 Sn 0.0109 0.6858 0.4449
30 Sn 0.6756 0.9926 0.2766
31 Sn 0.3271 0.0117 0.3893
32 Sn 0.3142 0.3251 0.4449
33 Sn 0.9883 0.3154 0.3893
34 Sn 0.3334 0.3304 0.6113
35 Sn 0.6846 0.6729 0.3893
36 Sn 0.3317 0.3299 0.9440
37 F 0.6609 0.6852 0.8525
38 F 0.0000 0.0000 0.1154
39 F 0.6670 0.1115 0.8826
40 F 0.8886 0.5545 0.7162
41 F 0.6588 0.6900 0.3531
42 F 0.1115 0.4446 0.6175
43 F 0.8885 0.5555 0.8826
44 F 0.0000 0.0000 0.8848
45 F 0.3285 0.8869 0.2850
46 F 0.9698 0.6619 0.1469
47 F 0.6856 0.0242 0.8139
48 F 0.1131 0.4416 0.2850
49 F 0.1074 0.4380 0.4500
50 F 0.8920 0.5607 0.2136
51 F 0.3333 0.6667 0.2201
52 F 0.3333 0.6667 0.0547
53 F 0.4439 0.3331 0.5473
54 F 0.3354 0.3143 0.9816
55 F 0.3117 0.9710 0.0200
56 F 0.0300 0.3408 0.1866
57 F 0.6692 0.1111 0.3809
58 F 0.1103 0.4444 0.9526
59 F 0.3381 0.3079 0.1469
60 F 0.3333 0.6667 0.5512
61 F 0.0000 0.0000 0.7177
62 F 0.3144 0.9758 0.6861
63 F 0.3333 0.6667 0.8863
64 F 0.3108 0.9700 0.1866
65 F 0.9758 0.6615 0.8139
66 F 0.8954 0.5610 0.0500
67 F 0.6592 0.6892 0.1866
68 F 0.4393 0.3313 0.2136
69 F 0.6659 0.1114 0.7162
70 F 0.4445 0.3330 0.8826
71 F 0.6593 0.6883 0.0200
72 F 0.6669 0.1108 0.5473
73 F 0.9678 0.6578 0.3132
74 F 0.5545 0.6659 0.7838
75 F 0.6614 0.6856 0.6861
76 F 0.0312 0.3412 0.3531
77 F 0.5594 0.6695 0.1186
78 F 0.0000 0.0000 0.7823
79 F 0.4420 0.3308 0.3809
80 F 0.3100 0.9688 0.3531
81 F 0.6656 0.1046 0.0500
82 F 0.1101 0.4406 0.1186
83 F 0.0242 0.3386 0.6861
84 F 0.6687 0.1080 0.2136
85 F 0.6667 0.3333 0.7800
86 F 0.3143 0.9779 0.5186
87 F 0.3333 0.6667 0.7200
88 F 0.0243 0.3391 0.8525
89 F 0.4455 0.3341 0.7162
90 F 0.6921 0.0302 0.1469
91 F 0.3305 0.8899 0.1186
92 F 0.3341 0.8886 0.7838
93 F 0.8889 0.5581 0.3809
94 F 0.3422 0.3100 0.3132
95 F 0.9789 0.6646 0.9816
96 F 0.0221 0.3364 0.5186
97 F 0.3148 0.9757 0.8525
98 F 0.8892 0.5561 0.5473
99 F 0.0000 0.0000 0.3848
100 F 0.5554 0.6669 0.6175
101 F 0.3331 0.8885 0.6175
102 F 0.0290 0.3407 0.0200
103 F 0.3385 0.3144 0.8139
104 F 0.5584 0.6715 0.2850
105 F 0.6852 0.0244 0.6475
106 F 0.0000 0.0000 0.4474
107 F 0.6667 0.3333 0.6137
108 F 0.6900 0.0322 0.3132
109 F 0.3391 0.3148 0.6475
110 F 0.6667 0.3333 0.9489
111 F 0.6636 0.6857 0.5186
112 F 0.0000 0.0000 0.5508
113 F 0.3341 0.8897 0.9526
114 F 0.6891 0.0313 0.4797
115 F 0.6857 0.0211 0.9816
116 F 0.1114 0.4455 0.7838
117 F 0.0000 0.0000 0.9500
118 F 0.0000 0.0000 0.6154
119 F 0.0000 0.0000 0.2819
120 F 0.3306 0.8926 0.4500
121 F 0.9687 0.6578 0.4797
122 F 0.5556 0.6659 0.9526
123 F 0.9756 0.6609 0.6475
124 F 0.3422 0.3109 0.4797
125 F 0.5620 0.6694 0.4500
126 F 0.4390 0.3344 0.0500
127 K 0.6667 0.3333 0.1707
128 K 0.0000 0.0000 0.6665
129 K 0.3333 0.6667 0.9918
130 K 0.3333 0.6667 0.8303
131 K 0.3333 0.6667 0.3287
132 K 0.3333 0.6667 0.5027
133 K 0.6667 0.3333 0.6697
134 K 0.0000 0.0000 0.8335
135 K 0.6667 0.3333 0.5083
136 K 0.0000 0.0000 0.9961
137 K 0.6667 0.3333 0.9971
138 K 0.6667 0.3333 0.8363
139 K 0.0000 0.0000 0.3328
140 K 0.0000 0.0000 0.1681
141 K 0.3333 0.6667 0.1640
142 K 0.0000 0.0000 0.5043
143 K 0.3333 0.6667 0.6636
144 K 0.6667 0.3333 0.3365

Properties
- space group = No. 143
- magnetic moment (μB per formula unit) = 0.00
- polymorph energy (0 for the lowest one) (meV/atom) = 54.6

---

The following is a PBE calculation of an optimized crystal structure of SnP3O9, from Materials Project.

Unit cell a=9.4831 b=10.2018 c=10.5847 alpha=109.03 beta=109.55 gamma=105.69
Element x y z (fractional)
1 O 0.8040 0.6291 0.0972
2 O 0.9316 0.1863 0.3078
3 O 0.9116 0.1640 0.8094
4 O 0.1495 0.2307 0.0575
5 O 0.3916 0.6425 0.3335
6 O 0.7280 0.1297 0.5138
7 O 0.6677 0.8472 0.4016
8 O 0.7022 0.9992 0.0283
9 O 0.1682 0.4934 0.5583
10 O 0.1960 0.3709 0.9028
11 O 0.3528 0.0161 0.7613
12 O 0.3453 0.3071 0.4479
13 O 0.3323 0.1528 0.5984
14 O 0.5340 0.2972 0.2365
15 O 0.6084 0.3575 0.6665
16 O 0.0684 0.8137 0.6922
17 O 0.5667 0.0720 0.6822
18 O 0.0299 0.5594 0.2270
19 O 0.2752 0.5892 0.8480
20 O 0.6472 0.9839 0.2387
21 O 0.6093 0.5721 0.2792
22 O 0.3907 0.4279 0.7208
23 O 0.0884 0.8360 0.1906
24 O 0.2720 0.8703 0.4862
25 O 0.7248 0.4108 0.1520
26 O 0.4333 0.9280 0.3178
27 O 0.8505 0.7693 0.9425
28 O 0.2978 0.0008 0.9717
29 O 0.9701 0.4406 0.7730
30 O 0.8511 0.8966 0.1963
31 O 0.8108 0.3809 0.9518
32 O 0.1892 0.6191 0.0482
33 O 0.6547 0.6929 0.5521
34 O 0.4660 0.7028 0.7635
35 O 0.1489 0.1034 0.8037
36 O 0.8318 0.5066 0.4417
37 Sn 0.7646 0.2628 0.7289
38 Sn 0.2354 0.7372 0.2711
39 Sn 0.6985 0.8621 0.8083
40 Sn 0.3015 0.1379 0.1917
41 P 0.6196 0.9765 0.3732
42 P 0.9023 0.7861 0.0992
43 P 0.6843 0.4441 0.2987
44 P 0.4211 0.3158 0.5986
45 P 0.2044 0.9622 0.8088
46 P 0.0977 0.2139 0.9008
47 P 0.8498 0.4912 0.1072
48 P 0.3157 0.5559 0.7013
49 P 0.1502 0.5088 0.8928
50 P 0.7956 0.0378 0.1912
51 P 0.3804 0.0235 0.6268
52 P 0.5789 0.6842 0.4014

Properties
- space group = No. 2
- magnetic moment (μB per formula unit) = 0.00
- polymorph energy (0 for the lowest one) (meV/atom) = 41.7

---

The following is a PBE calculation of an optimized crystal structure of LiCr2S4, from Materials Project.

Unit cell a=6.3094 b=7.4562 c=12.1249 alpha=81.62 beta=85.86 gamma=90.12
Element x y z (fractional)
1 S 0.1185 0.6714 0.8855
2 S 0.6816 0.0473 0.3680
3 S 0.8205 0.7164 0.6381
4 S 0.5855 0.9203 0.8913
5 S 0.8815 0.3286 0.1145
6 S 0.6215 0.3816 0.8860
7 S 0.9093 0.8630 0.0997
8 S 0.1795 0.2836 0.3619
9 S 0.3785 0.6184 0.1140
10 S 0.3184 0.9527 0.6320
11 S 0.7742 0.2156 0.6359
12 S 0.2258 0.7844 0.3641
13 S 0.6806 0.5201 0.3639
14 S 0.4145 0.0797 0.1087
15 S 0.0907 0.1370 0.9003
16 S 0.3194 0.4799 0.6361
17 Cr 0.6365 0.4518 0.7069
18 Cr 0.1521 0.7018 0.7056
19 Cr 0.8479 0.2982 0.2944
20 Cr 0.2372 0.8845 0.9990
21 Cr 0.7628 0.1155 0.0010
22 Cr 0.6305 0.9465 0.7059
23 Cr 0.3635 0.5482 0.2931
24 Cr 0.3695 0.0535 0.2941
25 Li 0.1274 0.1998 0.7049
26 Li 0.2489 0.3716 0.9997
27 Li 0.7511 0.6284 0.0003
28 Li 0.8726 0.8002 0.2951

Properties
- space group = No. 2
- magnetic moment (μB per formula unit) = 5.00
- polymorph energy (0 for the lowest one) (meV/atom) = 185.9

---

The following is a PBE calculation of an optimized crystal structure of Zr2Sb2Pb4O13, from Materials Project.

Unit cell a=7.6620 b=7.6620 c=7.6620 alpha=120.36 beta=119.86 gamma=89.81
Element x y z (fractional)
1 O 0.8169 0.8169 0.0000
2 O 0.0628 0.1673 0.4850
3 O 0.8146 0.8295 0.3905
4 O 0.0814 0.5814 0.5000
5 O 0.4219 0.4219 0.0000
6 O 0.6823 0.1673 0.1045
7 O 0.6823 0.5778 0.5150
8 O 0.3774 0.8774 0.5000
9 O 0.4389 0.8295 0.0148
10 O 0.0628 0.5778 0.8955
11 O 0.8146 0.4241 0.9852
12 O 0.6811 0.1811 0.5000
13 O 0.4389 0.4241 0.6095
14 Pb 0.7499 0.9997 0.7502
15 Pb 0.2497 0.5016 0.2519
16 Pb 0.2497 0.9978 0.7481
17 Pb 0.2494 0.9997 0.2498
18 Zr 0.7494 0.5004 0.2491
19 Zr 0.2513 0.5004 0.7509
20 Sb 0.7498 0.9993 0.2495
21 Sb 0.7498 0.5003 0.7505

Properties
- space group = No. 44
- magnetic moment (μB per formula unit) = 0.00

---

The following is a PBE calculation of an optimized crystal structure of KBa2P5O15, from Materials Project.

Unit cell a=7.4407 b=8.7910 c=13.9764 alpha=51.65 beta=90.00 gamma=90.00
Element x y z (fractional)
1 O 0.5052 0.6597 0.5925
2 O 0.9428 0.9394 0.5970
3 O 0.8013 0.9970 0.7356
4 O 0.5474 0.5187 0.3907
5 O 0.5896 0.9679 0.3024
6 O 0.1736 0.5761 0.6528
7 O 0.0050 0.1185 0.3277
8 O 0.6248 0.1201 0.4098
9 O 0.0572 0.9394 0.0970
10 O 0.4948 0.6597 0.0925
11 O 0.1486 0.3562 0.1115
12 O 0.9516 0.7355 0.3201
13 O 0.8514 0.3562 0.6115
14 O 0.7317 0.6976 0.7649
15 O 0.4104 0.9679 0.8024
16 O 0.8264 0.5761 0.1528
17 O 0.3872 0.3254 0.6747
18 O 0.6128 0.3254 0.1747
19 O 0.2370 0.3427 0.4504
20 O 0.3752 0.1201 0.9098
21 O 0.1987 0.9970 0.2356
22 O 0.6637 0.1656 0.8074
23 O 0.2683 0.6976 0.2649
24 O 0.7109 0.6075 0.9720
25 O 0.0484 0.7355 0.8201
26 O 0.9950 0.1185 0.8277
27 O 0.3363 0.1656 0.3074
28 O 0.7630 0.3427 0.9504
29 O 0.4526 0.5187 0.8907
30 O 0.2891 0.6075 0.4720
31 P 0.8439 0.1722 0.7410
32 P 0.6586 0.5514 0.1028
33 P 0.3414 0.5514 0.6028
34 P 0.1561 0.1722 0.2410
35 P 0.4502 0.1317 0.8052
36 P 0.5498 0.1317 0.3052
37 P 0.8985 0.8415 0.7286
38 P 0.3479 0.5196 0.4022
39 P 0.6521 0.5196 0.9022
40 P 0.1015 0.8415 0.2286
41 Ba 0.8714 0.3419 0.4108
42 Ba 0.1639 0.7543 0.9985
43 Ba 0.8361 0.7543 0.4985
44 Ba 0.1286 0.3419 0.9108
45 K 0.3560 0.9367 0.6204
46 K 0.6440 0.9367 0.1204

Properties
- space group = No. 7
- magnetic moment (μB per formula unit) = 0.00

---

The following is a PBE calculation of an optimized crystal structure of SmSiRu, from Materials Project.

Unit cell a=4.2265 b=4.2265 c=6.7960 alpha=90.00 beta=90.00 gamma=90.00
Element x y z (fractional)
1 Sm 0.0000 0.5000 0.3210
2 Sm 0.5000 0.0000 0.6790
3 Si 0.5000 0.0000 0.1797
4 Si 0.0000 0.5000 0.8203
5 Ru 0.0000 0.0000 0.0000
6 Ru 0.5000 0.5000 0.0000

Properties
- space group = No. 129

---

The following is a PBE calculation of an optimized crystal structure of GaBiSe, from Materials Project.

Unit cell a=8.8041 b=8.8041 c=8.8041 alpha=107.74 beta=107.74 gamma=112.99
Element x y z (fractional)
1 Bi 0.3575 0.8575 0.2150
2 Bi 0.8575 0.6425 0.5000
3 Bi 0.1425 0.3575 0.5000
4 Bi 0.6425 0.1425 0.7850
5 Se 0.3599 0.1401 0.5000
6 Se 0.8599 0.3599 0.2198
7 Se 0.6401 0.8599 0.5000
8 Se 0.1401 0.6401 0.7802
9 Ga 0.5000 0.5000 0.5000
10 Ga 0.0000 0.5000 0.0000
11 Ga 0.5000 0.0000 0.0000
12 Ga 0.0000 0.0000 0.5000

Properties
- space group = No. 140
- magnetic moment (μB per formula unit) = 0.00
- polymorph energy (0 for the lowest one) (meV/atom) = 0.0

---

The following is a PBE calculation of an optimized crystal structure of NaTl, from Materials Project.

Unit cell a=6.3950 b=6.3950 c=6.0737 alpha=90.00 beta=90.00 gamma=99.17
Element x y z (fractional)
1 Na 0.5093 0.1296 0.2500
2 Na 0.8704 0.4907 0.7500
3 Na 0.1296 0.5093 0.2500
4 Na 0.4907 0.8704 0.7500
5 Tl 0.3673 0.3673 0.7500
6 Tl 0.0000 0.0000 0.0000
7 Tl 0.0000 0.0000 0.5000
8 Tl 0.6327 0.6327 0.2500

Properties
- space group = No. 63

---

Energy of formation for every record listed, in sequence, given in eV/atom: -1.501, -2.659, -2.432, -0.908, -2.349, -2.918, -0.798, -0.009, -0.086.